# HoSi2Rh3

Crystalline HoSi2Rh3 at its relaxed geometry (PBE-GGA, the Materials Project).

abc: 5.516 5.516 3.684
angles: 90.00 90.00 120.00
Sites, in units of the cell vectors:
Ho (0.000, 0.000, 0.000)
Si (0.333, 0.667, 0.000)
Si (0.667, 0.333, 0.000)
Rh (0.000, 0.500, 0.500)
Rh (0.500, 0.000, 0.500)
Rh (0.500, 0.500, 0.500)

The value obtained for the calculated density is 9.1 Mg/m³. As for the energy relative to the elements: -1.016 eV/atom.

# Ho3Si2Sn3Rh9

Crystalline Ho3Si2Sn3Rh9 at its relaxed geometry (PBE-GGA, the Materials Project).

abc: 9.819 9.819 3.504
angles: 90.00 90.00 120.00
Sites, in units of the cell vectors:
Ho (0.000, 0.400, 0.000)
Ho (0.400, 0.000, 0.000)
Ho (0.600, 0.600, 0.000)
Si (0.333, 0.667, 0.000)
Si (0.667, 0.333, 0.000)
Sn (0.000, 0.761, 0.000)
Sn (0.239, 0.239, 0.000)
Sn (0.761, 0.000, 0.000)
Rh (0.000, 0.165, 0.500)
Rh (0.165, 0.000, 0.500)
Rh (0.184, 0.701, 0.500)
Rh (0.299, 0.483, 0.500)
Rh (0.483, 0.299, 0.500)
Rh (0.517, 0.816, 0.500)
Rh (0.701, 0.184, 0.500)
Rh (0.816, 0.517, 0.500)
Rh (0.835, 0.835, 0.500)

The value obtained for the calculated density is 10.4 Mg/m³. As for the energy relative to the elements: -0.891 eV/atom.

# SmHoRh2

Crystalline SmHoRh2 at its relaxed geometry (PBE-GGA, the Materials Project).

abc: 6.935 6.935 6.935
angles: 90.00 90.00 90.00
Sites, in units of the cell vectors:
Sm (0.000, 0.000, 0.000)
Sm (0.000, 0.500, 0.500)
Sm (0.500, 0.000, 0.500)
Sm (0.500, 0.500, 0.000)
Ho (0.000, 0.000, 0.500)
Ho (0.000, 0.500, 0.000)
Ho (0.500, 0.000, 0.000)
Ho (0.500, 0.500, 0.500)
Rh (0.250, 0.250, 0.250)
Rh (0.250, 0.250, 0.750)
Rh (0.250, 0.750, 0.250)
Rh (0.250, 0.750, 0.750)
Rh (0.750, 0.250, 0.250)
Rh (0.750, 0.250, 0.750)
Rh (0.750, 0.750, 0.250)
Rh (0.750, 0.750, 0.750)

The value obtained for the calculated density is 10.4 Mg/m³. As for the energy relative to the elements: -0.805 eV/atom.

# Ho5Sn18Rh6

Crystalline Ho5Sn18Rh6 at its relaxed geometry (PBE-GGA, the Materials Project).

abc: 9.895 9.895 9.895
angles: 60.00 60.00 60.00
Sites, in units of the cell vectors:
Ho (0.000, 0.000, 0.000)
Ho (0.110, 0.630, 0.630)
Ho (0.630, 0.110, 0.630)
Ho (0.630, 0.630, 0.110)
Ho (0.630, 0.630, 0.630)
Sn (0.008, 0.008, 0.342)
Sn (0.008, 0.008, 0.643)
Sn (0.008, 0.342, 0.008)
Sn (0.008, 0.342, 0.643)
Sn (0.008, 0.643, 0.008)
Sn (0.008, 0.643, 0.342)
Sn (0.250, 0.250, 0.250)
Sn (0.342, 0.008, 0.008)
Sn (0.342, 0.008, 0.643)
Sn (0.342, 0.643, 0.008)
Sn (0.412, 0.412, 0.412)
Sn (0.412, 0.412, 0.765)
Sn (0.412, 0.765, 0.412)
Sn (0.643, 0.008, 0.008)
Sn (0.643, 0.008, 0.342)
Sn (0.643, 0.342, 0.008)
Sn (0.750, 0.750, 0.750)
Sn (0.765, 0.412, 0.412)
Rh (0.254, 0.254, 0.746)
Rh (0.254, 0.746, 0.254)
Rh (0.254, 0.746, 0.746)
Rh (0.746, 0.254, 0.254)
Rh (0.746, 0.254, 0.746)
Rh (0.746, 0.746, 0.254)

The value obtained for the calculated density is 8.7 Mg/m³. As for the energy relative to the elements: -0.536 eV/atom.